# 1
Here is crystalline K2Sn2O3 at its relaxed geometry from Materials Project. Energies are from r²SCAN.

Properties
Formation energy: -1.598 eV per atom
Offset from the most stable computed form: 0 meV/atom

```
K2Sn2O3
1.0
-4.178 4.178 4.178
4.178 -4.178 4.178
4.178 4.178 -4.178
K Sn O
4 4 6
Direct
0.000 0.019 0.500
0.019 0.500 0.000
0.481 0.481 0.481
0.500 0.000 0.019
0.000 0.491 0.500
0.009 0.009 0.009
0.491 0.500 0.000
0.500 0.000 0.491
0.232 0.982 0.250
0.250 0.232 0.982
0.268 0.518 0.750
0.518 0.750 0.268
0.750 0.268 0.518
0.982 0.250 0.232
```

=====

# 2
Here is crystalline K2Sn2O3 at its relaxed geometry from Materials Project. Energies are from r²SCAN.

Properties
Formation energy: -1.592 eV per atom
Offset from the most stable computed form: 6 meV/atom

```
K2Sn2O3
1.0
3.009 1.737 4.734
-3.009 1.737 4.734
0.000 -3.474 4.734
K Sn O
2 2 3
Direct
0.000 0.000 0.000
0.500 0.500 0.500
0.242 0.242 0.242
0.758 0.758 0.758
0.000 0.000 0.500
0.000 0.500 0.000
0.500 0.000 0.000
```

=====

# 3
Here is crystalline K3Ta8O21 at its relaxed geometry from Materials Project. Energies are from r²SCAN.

Properties
Formation energy: -3.011 eV per atom

```
K3Ta8O21
1.0
9.173 0.000 0.000
-4.586 7.944 0.000
0.000 0.000 12.105
K Ta O
6 16 42
Direct
0.000 0.408 0.250
0.000 0.592 0.750
0.408 0.000 0.250
0.408 0.408 0.750
0.592 0.000 0.750
0.592 0.592 0.250
0.000 0.248 0.595
0.000 0.248 0.905
0.000 0.752 0.095
0.000 0.752 0.405
0.248 0.000 0.595
0.248 0.000 0.905
0.248 0.248 0.095
0.248 0.248 0.405
0.333 0.667 0.000
0.333 0.667 0.500
0.667 0.333 0.000
0.667 0.333 0.500
0.752 0.000 0.095
0.752 0.000 0.405
0.752 0.752 0.595
0.752 0.752 0.905
0.000 0.198 0.074
0.000 0.198 0.426
0.000 0.208 0.750
0.000 0.792 0.250
0.000 0.802 0.574
0.000 0.802 0.926
0.168 0.481 0.595
0.168 0.481 0.905
0.168 0.687 0.095
0.168 0.687 0.405
0.198 0.000 0.074
0.198 0.000 0.426
0.198 0.198 0.574
0.198 0.198 0.926
0.208 0.000 0.750
0.208 0.208 0.250
0.313 0.481 0.095
0.313 0.481 0.405
0.313 0.832 0.595
0.313 0.832 0.905
0.481 0.168 0.595
0.481 0.168 0.905
0.481 0.313 0.095
0.481 0.313 0.405
0.519 0.687 0.595
0.519 0.687 0.905
0.519 0.832 0.095
0.519 0.832 0.405
0.687 0.168 0.095
0.687 0.168 0.405
0.687 0.519 0.595
0.687 0.519 0.905
0.792 0.000 0.250
0.792 0.792 0.750
0.802 0.000 0.574
0.802 0.000 0.926
0.802 0.802 0.074
0.802 0.802 0.426
0.832 0.313 0.595
0.832 0.313 0.905
0.832 0.519 0.095
0.832 0.519 0.405
```

=====

# 4
Here is crystalline K2Ta15O32 at its relaxed geometry from Materials Project. Energies are from r²SCAN.

Properties
Formation energy: -2.922 eV per atom

```
K2Ta15O32
1.0
3.909 2.257 11.897
-3.909 2.257 11.897
0.000 -4.513 11.897
K Ta O
2 15 32
Direct
0.140 0.140 0.140
0.860 0.860 0.860
0.026 0.702 0.570
0.054 0.228 0.815
0.185 0.946 0.772
0.228 0.815 0.054
0.298 0.430 0.974
0.363 0.363 0.363
0.430 0.974 0.298
0.500 0.500 0.500
0.570 0.026 0.702
0.637 0.637 0.637
0.702 0.570 0.026
0.772 0.185 0.946
0.815 0.054 0.228
0.946 0.772 0.185
0.974 0.298 0.430
0.031 0.444 0.152
0.040 0.860 0.299
0.140 0.701 0.960
0.152 0.031 0.444
0.155 0.458 0.571
0.169 0.570 0.260
0.260 0.169 0.570
0.263 0.263 0.263
0.264 0.678 0.462
0.299 0.040 0.860
0.322 0.538 0.736
0.429 0.845 0.542
0.430 0.740 0.831
0.444 0.152 0.031
0.458 0.571 0.155
0.462 0.264 0.678
0.538 0.736 0.322
0.542 0.429 0.845
0.556 0.848 0.969
0.570 0.260 0.169
0.571 0.155 0.458
0.678 0.462 0.264
0.701 0.960 0.140
0.736 0.322 0.538
0.737 0.737 0.737
0.740 0.831 0.430
0.831 0.430 0.740
0.845 0.542 0.429
0.848 0.969 0.556
0.860 0.299 0.040
0.960 0.140 0.701
0.969 0.556 0.848
```

=====

# 5
Here is crystalline KTaW2O9 at its relaxed geometry from Materials Project. Energies are from r²SCAN.

Properties
Formation energy: -2.554 eV per atom

```
KTaW2O9
1.0
3.930 0.000 0.000
-0.012 12.808 0.000
0.000 -6.401 11.126
K Ta W O
3 3 6 27
Direct
0.000 0.000 0.000
0.011 0.630 0.396
0.228 0.334 0.712
0.548 0.499 0.548
0.551 0.168 0.877
0.552 0.669 0.879
0.452 0.833 0.212
0.457 0.332 0.211
0.458 0.832 0.710
0.580 0.503 0.049
0.583 0.165 0.377
0.584 0.001 0.545
0.002 0.835 0.218
0.005 0.331 0.211
0.006 0.835 0.708
0.025 0.504 0.541
0.025 0.678 0.885
0.027 0.170 0.879
0.030 0.506 0.056
0.032 0.164 0.375
0.034 0.002 0.544
0.512 0.797 0.055
0.514 0.670 0.174
0.515 0.455 0.169
0.515 0.797 0.833
0.516 0.001 0.261
0.516 0.453 0.372
0.517 0.673 0.586
0.517 0.998 0.830
0.518 0.210 0.049
0.519 0.210 0.257
0.519 0.539 0.714
0.519 0.884 0.381
0.521 0.327 0.498
0.521 0.549 0.933
0.521 0.883 0.590
0.522 0.343 0.927
0.524 0.127 0.706
0.526 0.123 0.499
```

=====

# 6
Here is crystalline K2TbO3 at its relaxed geometry from Materials Project. Energies are from r²SCAN.

Properties
Formation energy: -2.274 eV per atom

```
K2TbO3
1.0
3.091 -5.589 0.000
3.091 5.589 0.000
-2.226 0.000 12.261
K Tb O
8 4 12
Direct
0.000 0.500 0.500
0.088 0.912 0.750
0.144 0.312 0.008
0.312 0.144 0.508
0.500 0.000 0.000
0.688 0.856 0.492
0.856 0.688 0.992
0.912 0.088 0.250
0.237 0.763 0.250
0.415 0.585 0.750
0.585 0.415 0.250
0.763 0.237 0.750
0.051 0.263 0.648
0.126 0.561 0.853
0.263 0.051 0.148
0.337 0.515 0.338
0.439 0.874 0.647
0.485 0.663 0.162
0.515 0.337 0.838
0.561 0.126 0.353
0.663 0.485 0.662
0.737 0.949 0.852
0.874 0.439 0.147
0.949 0.737 0.352
```

=====

# 7
Here is crystalline K2TeO4 at its relaxed geometry from Materials Project. Energies are from r²SCAN.

Properties
Formation energy: -1.538 eV per atom

```
K2TeO4
1.0
6.229 0.000 0.000
0.000 8.051 0.000
-5.332 0.000 10.896
K Te O
8 4 16
Direct
0.000 0.004 0.235
0.000 0.496 0.735
0.000 0.504 0.265
0.000 0.996 0.765
0.287 0.703 0.082
0.287 0.797 0.582
0.713 0.203 0.418
0.713 0.297 0.918
0.350 0.229 0.075
0.350 0.271 0.575
0.650 0.729 0.425
0.650 0.771 0.925
0.187 0.117 0.619
0.187 0.383 0.119
0.258 0.244 0.411
0.258 0.256 0.911
0.274 0.024 0.111
0.274 0.476 0.611
0.327 0.740 0.844
0.327 0.760 0.344
0.673 0.240 0.656
0.673 0.260 0.156
0.726 0.524 0.389
0.726 0.976 0.889
0.742 0.744 0.089
0.742 0.756 0.589
0.813 0.617 0.881
0.813 0.883 0.381
```

=====

# 8
Here is crystalline K2ThO3 at its relaxed geometry from Materials Project. Energies are from r²SCAN.

Properties
Formation energy: -2.837 eV per atom

```
K2ThO3
1.0
3.204 -5.562 0.000
3.204 5.562 0.000
-2.190 0.000 12.519
K Th O
8 4 12
Direct
0.000 0.500 0.500
0.085 0.915 0.750
0.157 0.313 0.000
0.313 0.157 0.500
0.500 0.000 0.000
0.687 0.843 0.500
0.843 0.687 0.000
0.915 0.085 0.250
0.250 0.750 0.250
0.418 0.582 0.750
0.582 0.418 0.250
0.750 0.250 0.750
0.050 0.264 0.651
0.118 0.566 0.849
0.264 0.050 0.151
0.333 0.501 0.349
0.434 0.882 0.651
0.499 0.667 0.151
0.501 0.333 0.849
0.566 0.118 0.349
0.667 0.499 0.651
0.736 0.950 0.849
0.882 0.434 0.151
0.950 0.736 0.349
```